The following is a DFT calculation (PBE-GGA) of NdInO3 after structural relaxation.

Output
Formation energy from the elements: -2.464 eV/atom
M_tot: 0.000 μB per atom
Electronic total energy: -32.625 eV/cell

Unit cell a=4.1559 b=4.1559 c=4.1559 alpha=90.00 beta=90.00 gamma=90.00
Atoms (fractional coordinates):
Nd  0.0000  0.0000  0.0000
In  0.5000  0.5000  0.5000
O  0.0000  0.5000  0.5000
O  0.5000  0.0000  0.5000
O  0.5000  0.5000  0.0000